[1]
Computed, not measured: an optimized crystal structure of KZn4B3O9 at the PBE-GGA level of DFT.

Computed properties:
* magnetization: 0.00 μB per formula unit
* volume: 454.13 Å³ per cell
* final energy: -6.122 eV/atom
* energy of formation from the pure elements: -224.44 kJ/mol of atoms

Lattice parameters (Å, degrees): 5.055 7.050 12.773 85.98 90.00 90.00
Fractional positions:
1 K 0.809 0.000 0.250
2 K 0.191 0.000 0.750
3 Zn 0.851 0.511 0.123
4 Zn 0.851 0.489 0.377
5 Zn 0.149 0.489 0.877
6 Zn 0.149 0.511 0.623
7 Zn 0.338 0.791 0.059
8 Zn 0.338 0.209 0.441
9 Zn 0.662 0.209 0.941
10 Zn 0.662 0.791 0.559
11 B 0.853 0.814 0.951
12 B 0.853 0.186 0.549
13 B 0.147 0.186 0.049
14 B 0.147 0.814 0.451
15 B 0.347 0.500 0.250
16 B 0.653 0.500 0.750
17 O 0.108 0.740 0.933
18 O 0.108 0.260 0.567
19 O 0.238 0.033 0.108
20 O 0.238 0.967 0.392
21 O 0.790 0.591 0.667
22 O 0.790 0.409 0.833
23 O 0.210 0.409 0.333
24 O 0.210 0.591 0.167
25 O 0.378 0.500 0.750
26 O 0.622 0.500 0.250
27 O 0.293 0.725 0.533
28 O 0.293 0.275 0.967
29 O 0.707 0.275 0.467
30 O 0.707 0.725 0.033
31 O 0.892 0.740 0.433
32 O 0.892 0.260 0.067
33 O 0.762 0.033 0.608
34 O 0.762 0.967 0.892

[2]
Computed, not measured: an optimized crystal structure of K3BS3 at the PBE-GGA level of DFT.

Computed properties:
* volume: 765.56 Å³ per cell
* final energy: -4.242 eV/atom
* energy of formation from the pure elements: -121.07 kJ/mol of atoms

Lattice parameters (Å, degrees): 6.277 10.323 12.754 67.88 90.00 90.00
Fractional positions:
1 K 0.727 0.469 0.408
2 K 0.227 0.531 0.092
3 K 0.273 0.531 0.592
4 K 0.773 0.469 0.908
5 K 0.832 0.765 0.110
6 K 0.332 0.235 0.390
7 K 0.168 0.235 0.890
8 K 0.668 0.765 0.610
9 K 0.556 0.099 0.150
10 K 0.056 0.901 0.350
11 K 0.444 0.901 0.850
12 K 0.944 0.099 0.650
13 B 0.871 0.268 0.241
14 B 0.371 0.732 0.259
15 B 0.129 0.732 0.759
16 B 0.629 0.268 0.741
17 S 0.704 0.422 0.169
18 S 0.204 0.578 0.331
19 S 0.296 0.578 0.831
20 S 0.796 0.422 0.669
21 S 0.828 0.162 0.391
22 S 0.328 0.838 0.109
23 S 0.172 0.838 0.609
24 S 0.672 0.162 0.891
25 S 0.425 0.213 0.662
26 S 0.925 0.787 0.838
27 S 0.575 0.787 0.338
28 S 0.075 0.213 0.162

[3]
Computed, not measured: an optimized crystal structure of LaB6 at the PBE-GGA level of DFT.

Computed properties:
* volume: 71.73 Å³ per cell
* final energy: -6.993 eV/atom
* energy of formation from the pure elements: -54.25 kJ/mol of atoms

Lattice parameters (Å, degrees): 4.155 4.155 4.155 90.00 90.00 90.00
Fractional positions:
1 La 0.000 0.000 0.000
2 B 0.800 0.500 0.500
3 B 0.200 0.500 0.500
4 B 0.500 0.500 0.800
5 B 0.500 0.500 0.200
6 B 0.500 0.200 0.500
7 B 0.500 0.800 0.500

[4]
Computed, not measured: an optimized crystal structure of Li3La2B3O9 at the PBE-GGA level of DFT.

Computed properties:
* magnetization: 0.00 μB per formula unit
* volume: 753.66 Å³ per cell
* final energy: -7.472 eV/atom
* energy of formation from the pure elements: -301.07 kJ/mol of atoms

Lattice parameters (Å, degrees): 14.446 5.967 9.541 66.41 90.00 90.00
Fractional positions:
1 Li 0.335 0.903 0.019
2 Li 0.665 0.097 0.981
3 Li 0.835 0.097 0.481
4 Li 0.165 0.903 0.519
5 Li 0.782 0.907 0.292
6 Li 0.218 0.093 0.708
7 Li 0.282 0.093 0.208
8 Li 0.718 0.907 0.792
9 Li 0.899 0.564 0.292
10 Li 0.101 0.436 0.708
11 Li 0.399 0.436 0.208
12 Li 0.601 0.564 0.792
13 La 0.666 0.445 0.191
14 La 0.334 0.555 0.809
15 La 0.166 0.555 0.309
16 La 0.834 0.445 0.691
17 La 0.503 0.849 0.340
18 La 0.497 0.151 0.660
19 La 0.003 0.151 0.160
20 La 0.997 0.849 0.840
21 B 0.985 0.764 0.486
22 B 0.015 0.236 0.514
23 B 0.485 0.236 0.014
24 B 0.515 0.764 0.986
25 B 0.836 0.887 0.028
26 B 0.164 0.113 0.972
27 B 0.336 0.113 0.472
28 B 0.664 0.887 0.528
29 B 0.824 0.388 0.020
30 B 0.176 0.612 0.980
31 B 0.324 0.612 0.480
32 B 0.676 0.388 0.520
33 O 0.899 0.813 0.415
34 O 0.101 0.187 0.585
35 O 0.399 0.187 0.085
36 O 0.601 0.813 0.915
37 O 0.595 0.455 0.434
38 O 0.405 0.545 0.566
39 O 0.095 0.545 0.066
40 O 0.905 0.455 0.934
41 O 0.757 0.824 0.118
42 O 0.243 0.176 0.882
43 O 0.257 0.176 0.382
44 O 0.743 0.824 0.618
45 O 0.565 0.181 0.101
46 O 0.435 0.819 0.899
47 O 0.065 0.819 0.399
48 O 0.935 0.181 0.601
49 O 0.924 0.839 0.093
50 O 0.076 0.161 0.907
51 O 0.424 0.161 0.407
52 O 0.576 0.839 0.593
53 O 0.831 0.289 0.180
54 O 0.169 0.711 0.820
55 O 0.331 0.711 0.320
56 O 0.669 0.289 0.680
57 O 0.509 0.658 0.145
58 O 0.491 0.342 0.855
59 O 0.009 0.342 0.355
60 O 0.991 0.658 0.645
61 O 0.761 0.414 0.448
62 O 0.239 0.586 0.552
63 O 0.261 0.586 0.052
64 O 0.739 0.414 0.948
65 O 0.669 0.997 0.370
66 O 0.331 0.003 0.630
67 O 0.169 0.003 0.130
68 O 0.831 0.997 0.870

[5]
Computed, not measured: an optimized crystal structure of LaMg6B at the PBE-GGA level of DFT.

Computed properties:
* magnetization: 0.00 μB per formula unit
* volume: 181.73 Å³ per cell
* final energy: -2.350 eV/atom
* E above lowest polymorph: 0.077 eV per atom
* energy of formation from the pure elements: 29.17 kJ/mol of atoms

Lattice parameters (Å, degrees): 6.707 6.707 4.779 90.00 90.00 122.29
Fractional positions:
1 La 0.195 0.805 0.000
2 Mg 0.185 0.336 0.000
3 Mg 0.664 0.815 0.000
4 Mg 0.664 0.336 0.000
5 Mg 0.335 0.196 0.500
6 Mg 0.804 0.665 0.500
7 Mg 0.825 0.175 0.500
8 B 0.327 0.673 0.500

[6]
Computed, not measured: an optimized crystal structure of LaMg6B at the PBE-GGA level of DFT.

Computed properties:
* magnetization: 0.00 μB per formula unit
* volume: 183.68 Å³ per cell
* final energy: -2.427 eV/atom
* E above lowest polymorph: 0.000 eV per atom
* energy of formation from the pure elements: 21.76 kJ/mol of atoms

Lattice parameters (Å, degrees): 7.327 7.327 4.743 90.00 90.00 133.83
Fractional positions:
1 La 0.804 0.196 0.500
2 Mg 0.301 0.197 0.500
3 Mg 0.803 0.699 0.500
4 Mg 0.183 0.340 0.000
5 Mg 0.660 0.817 0.000
6 Mg 0.641 0.359 0.000
7 Mg 0.213 0.787 0.000
8 B 0.396 0.604 0.500

[7]
Computed, not measured: an optimized crystal structure of LaMg14BO16 at the PBE-GGA level of DFT.

Computed properties:
* magnetization: 0.00 μB per formula unit
* volume: 336.79 Å³ per cell
* final energy: -5.940 eV/atom
* E above lowest polymorph: 0.000 eV per atom
* energy of formation from the pure elements: -264.98 kJ/mol of atoms

Lattice parameters (Å, degrees): 8.768 8.768 4.381 90.00 90.00 90.00
Fractional positions:
1 La 0.000 0.000 0.000
2 Mg 0.000 0.500 0.000
3 Mg 0.500 0.000 0.000
4 Mg 0.000 0.271 0.500
5 Mg 0.000 0.729 0.500
6 Mg 0.500 0.257 0.500
7 Mg 0.500 0.743 0.500
8 Mg 0.271 0.000 0.500
9 Mg 0.257 0.500 0.500
10 Mg 0.729 0.000 0.500
11 Mg 0.743 0.500 0.500
12 Mg 0.265 0.265 0.000
13 Mg 0.265 0.735 0.000
14 Mg 0.735 0.265 0.000
15 Mg 0.735 0.735 0.000
16 B 0.500 0.500 0.000
17 O 0.268 0.000 0.000
18 O 0.235 0.500 0.000
19 O 0.732 0.000 0.000
20 O 0.765 0.500 0.000
21 O 0.250 0.250 0.500
22 O 0.250 0.750 0.500
23 O 0.750 0.250 0.500
24 O 0.750 0.750 0.500
25 O 0.000 0.000 0.500
26 O 0.000 0.500 0.500
27 O 0.500 0.000 0.500
28 O 0.500 0.500 0.500
29 O 0.000 0.268 0.000
30 O 0.000 0.732 0.000
31 O 0.500 0.235 0.000
32 O 0.500 0.765 0.000

[8]
Computed, not measured: an optimized crystal structure of LaMg14BO16 at the PBE-GGA level of DFT.

Computed properties:
* magnetization: 0.00 μB per formula unit
* volume: 337.26 Å³ per cell
* final energy: -5.927 eV/atom
* E above lowest polymorph: 0.013 eV per atom
* energy of formation from the pure elements: -263.74 kJ/mol of atoms

Lattice parameters (Å, degrees): 8.752 8.793 4.383 90.00 90.00 90.00
Fractional positions:
1 La 0.000 0.000 0.000
2 Mg 0.500 0.000 0.000
3 Mg 0.500 0.500 0.000
4 Mg 0.000 0.274 0.500
5 Mg 0.000 0.726 0.500
6 Mg 0.500 0.255 0.500
7 Mg 0.500 0.745 0.500
8 Mg 0.267 0.000 0.500
9 Mg 0.248 0.500 0.500
10 Mg 0.733 0.000 0.500
11 Mg 0.752 0.500 0.500
12 Mg 0.256 0.265 0.000
13 Mg 0.256 0.735 0.000
14 Mg 0.744 0.265 0.000
15 Mg 0.744 0.735 0.000
16 B 0.000 0.500 0.000
17 O 0.270 0.000 0.000
18 O 0.271 0.500 0.000
19 O 0.730 0.000 0.000
20 O 0.729 0.500 0.000
21 O 0.249 0.249 0.500
22 O 0.249 0.751 0.500
23 O 0.751 0.249 0.500
24 O 0.751 0.751 0.500
25 O 0.000 0.000 0.500
26 O 0.000 0.500 0.500
27 O 0.500 0.000 0.500
28 O 0.500 0.500 0.500
29 O 0.000 0.260 0.000
30 O 0.000 0.740 0.000
31 O 0.500 0.250 0.000
32 O 0.500 0.750 0.000